## Na2NiPCO7 (PBE+U)

Data for an optimized crystal structure of Na2NiPCO7.

Cell: 6.6664 10.0985 10.3029 Å, 119.22 90.24 90.24°
Closest atoms and distances in Å follow each position.
Sites, in units of the cell vectors:
Na: 0.0000 0.0000 0.0000  5 O 2.34-2.48
Na: 0.0061 0.9877 0.4898  4 O 2.31-2.44
Na: 0.0313 0.4737 0.9902  5 O 2.31-2.58
Na: 0.2546 0.6444 0.7955  5 O 2.35-2.61
Na: 0.4980 0.4668 0.4744  5 O 2.29-2.54
Na: 0.5081 0.4752 0.9937  6 O 2.31-2.58
Na: 0.5287 0.9882 0.4897  5 O 2.31-2.57
Na: 0.5353 0.9993 0.0007  5 O 2.33-2.47
Ni: 0.2679 0.0804 0.3013  6 O 1.97-2.15
Ni: 0.2690 0.0803 0.8042  6 O 1.96-2.10
Ni: 0.7719 0.3881 0.6757  6 O 1.96-2.15
Ni: 0.7739 0.3870 0.1792  6 O 1.97-2.13
P: 0.2682 0.3127 0.6740  4 O 1.54-1.58
P: 0.2693 0.3137 0.1702  4 O 1.53-1.56
P: 0.7682 0.1534 0.8102  4 O 1.54-1.57
P: 0.7692 0.1563 0.3132  4 O 1.53-1.57
C: 0.2680 0.8011 0.1279  3 O 1.27-1.31
C: 0.2707 0.8051 0.6320  3 O 1.25-1.31
C: 0.7656 0.6640 0.8500  3 O 1.26-1.31
C: 0.7689 0.6612 0.3480  3 O 1.25-1.30
O: 0.0815 0.4119 0.7002  1 P 1.54
O: 0.0832 0.4056 0.1768  1 P 1.53
O: 0.2660 0.8965 0.0766  1 C 1.31
O: 0.2667 0.1622 0.5265  1 P 1.54
O: 0.2666 0.8681 0.7777  1 C 1.31
O: 0.2673 0.9027 0.5843  1 C 1.30
O: 0.2676 0.8625 0.2710  1 C 1.29
O: 0.2702 0.6590 0.0401  1 C 1.27
O: 0.2708 0.1590 0.0231  1 P 1.56
O: 0.2741 0.2733 0.2979  1 P 1.56
O: 0.2757 0.2747 0.8054  1 P 1.58
O: 0.2780 0.6644 0.5527  1 C 1.25
O: 0.4512 0.4146 0.6895  1 P 1.55
O: 0.4568 0.4102 0.1840  1 P 1.54
O: 0.5819 0.0567 0.7972  1 P 1.54
O: 0.5829 0.0560 0.2939  1 P 1.55
O: 0.7622 0.3069 0.4598  1 P 1.53
O: 0.7643 0.6053 0.7070  1 C 1.29
O: 0.7662 0.8018 0.4333  1 C 1.25
O: 0.7659 0.8046 0.9380  1 C 1.26
O: 0.7671 0.1911 0.6795  1 P 1.57
O: 0.7679 0.3065 0.9582  1 P 1.55
O: 0.7679 0.5619 0.3931  1 C 1.29
O: 0.7686 0.1933 0.1815  1 P 1.57
O: 0.7686 0.5630 0.8945  1 C 1.31
O: 0.7730 0.5998 0.2038  1 C 1.30
O: 0.9550 0.0591 0.7987  1 P 1.54
O: 0.9552 0.0599 0.2984  1 P 1.54

Computed properties:
**E_form**: -2.07 eV per atom
**Distance to the lowest polymorph of the same formula**: 2.0 kJ/mol of atoms
**Total magnetization**: 1.50 μB/f.u.